1.
A geometry-optimized ThP2Ru2 structure, computed with GGA-PBE.

abc: 7.582 4.166 10.530
angles: 90.00 90.00 90.00
Fractional coordinates of all 20 atoms:
1 Th 0.233 0.250 0.169
2 Th 0.267 0.750 0.669
3 Th 0.733 0.250 0.331
4 Th 0.767 0.750 0.831
5 P 0.029 0.750 0.340
6 P 0.095 0.750 0.970
7 P 0.405 0.250 0.470
8 P 0.471 0.250 0.840
9 P 0.529 0.750 0.160
10 P 0.595 0.750 0.530
11 P 0.905 0.250 0.030
12 P 0.971 0.250 0.660
13 Ru 0.110 0.250 0.450
14 Ru 0.133 0.250 0.868
15 Ru 0.367 0.750 0.368
16 Ru 0.390 0.750 0.950
17 Ru 0.610 0.250 0.050
18 Ru 0.633 0.250 0.632
19 Ru 0.867 0.750 0.132
20 Ru 0.890 0.750 0.550

- Calculated volume: 16.63 Å³ per atom


2.
A geometry-optimized SiO2 structure, computed with GGA-PBE.

abc: 5.449 5.449 5.493
angles: 96.22 96.22 99.97
Fractional coordinates of all 12 atoms:
1 Si 0.051 0.949 0.500
2 Si 0.484 0.636 0.427
3 Si 0.636 0.484 0.927
4 Si 0.949 0.051 0.000
5 O 0.099 0.126 0.281
6 O 0.126 0.099 0.781
7 O 0.230 0.741 0.473
8 O 0.446 0.514 0.136
9 O 0.514 0.446 0.636
10 O 0.741 0.230 0.973
11 O 0.746 0.843 0.470
12 O 0.843 0.746 0.970

- Largest piezoelectric modulus: 0.32 C/m²
- Calculated volume: 13.19 Å³ per atom


3.
A geometry-optimized Eu2Sb3 structure, computed with GGA-PBE.

abc: 6.614 12.637 14.850
angles: 90.00 90.01 90.00
Fractional coordinates of all 40 atoms:
1 Eu 0.001 0.221 0.254
2 Eu 0.001 0.279 0.754
3 Eu 0.249 0.627 0.996
4 Eu 0.249 0.873 0.496
5 Eu 0.252 0.124 0.002
6 Eu 0.252 0.376 0.502
7 Eu 0.498 0.028 0.248
8 Eu 0.498 0.472 0.748
9 Eu 0.502 0.528 0.252
10 Eu 0.502 0.972 0.752
11 Eu 0.748 0.624 0.498
12 Eu 0.748 0.876 0.998
13 Eu 0.751 0.127 0.504
14 Eu 0.751 0.373 0.004
15 Eu 0.999 0.721 0.246
16 Eu 0.999 0.779 0.746
17 Sb 0.051 0.537 0.658
18 Sb 0.051 0.963 0.158
19 Sb 0.077 0.042 0.651
20 Sb 0.077 0.458 0.151
21 Sb 0.244 0.622 0.430
22 Sb 0.244 0.878 0.930
23 Sb 0.255 0.127 0.431
24 Sb 0.255 0.373 0.931
25 Sb 0.427 0.207 0.655
26 Sb 0.427 0.293 0.155
27 Sb 0.443 0.714 0.655
28 Sb 0.443 0.786 0.155
29 Sb 0.557 0.214 0.845
30 Sb 0.557 0.286 0.345
31 Sb 0.573 0.707 0.845
32 Sb 0.573 0.793 0.345
33 Sb 0.745 0.627 0.069
34 Sb 0.745 0.873 0.569
35 Sb 0.756 0.122 0.070
36 Sb 0.756 0.378 0.570
37 Sb 0.923 0.542 0.849
38 Sb 0.923 0.958 0.349
39 Sb 0.949 0.037 0.842
40 Sb 0.949 0.463 0.342

- Calculated volume: 31.03 Å³ per atom
- ΔE to the lowest computed polymorph: 0 meV per atom
- Magnetic moment: 111.5 μB/cell


4.
A geometry-optimized K6Nb4S25 structure, computed with GGA-PBE.

abc: 16.106 13.414 21.323
angles: 90.00 122.20 90.00
Fractional coordinates of all 140 atoms:
1 K 0.021 0.195 0.064
2 K 0.021 0.305 0.564
3 K 0.103 0.008 0.708
4 K 0.103 0.492 0.208
5 K 0.226 0.135 0.411
6 K 0.226 0.365 0.911
7 K 0.313 0.622 0.087
8 K 0.313 0.878 0.587
9 K 0.383 0.518 0.767
10 K 0.383 0.982 0.267
11 K 0.461 0.691 0.422
12 K 0.461 0.809 0.922
13 K 0.539 0.191 0.078
14 K 0.539 0.309 0.578
15 K 0.617 0.018 0.733
16 K 0.617 0.482 0.233
17 K 0.687 0.122 0.413
18 K 0.687 0.378 0.913
19 K 0.774 0.635 0.089
20 K 0.774 0.865 0.589
21 K 0.897 0.508 0.792
22 K 0.897 0.992 0.292
23 K 0.979 0.695 0.436
24 K 0.979 0.805 0.936
25 Nb 0.111 0.704 0.666
26 Nb 0.111 0.796 0.166
27 Nb 0.162 0.671 0.854
28 Nb 0.162 0.829 0.354
29 Nb 0.332 0.185 0.634
30 Nb 0.332 0.315 0.134
31 Nb 0.397 0.221 0.824
32 Nb 0.397 0.279 0.324
33 Nb 0.603 0.721 0.676
34 Nb 0.603 0.779 0.176
35 Nb 0.668 0.685 0.866
36 Nb 0.668 0.815 0.366
37 Nb 0.838 0.171 0.646
38 Nb 0.838 0.329 0.146
39 Nb 0.889 0.204 0.834
40 Nb 0.889 0.296 0.334
41 S 0.010 0.699 0.728
42 S 0.010 0.801 0.228
43 S 0.022 0.547 0.616
44 S 0.022 0.679 0.082
45 S 0.022 0.821 0.582
46 S 0.022 0.953 0.116
47 S 0.051 0.683 0.303
48 S 0.051 0.817 0.803
49 S 0.107 0.588 0.916
50 S 0.107 0.912 0.416
51 S 0.136 0.571 0.598
52 S 0.136 0.929 0.098
53 S 0.196 0.545 0.788
54 S 0.196 0.955 0.288
55 S 0.200 0.016 0.895
56 S 0.200 0.070 0.613
57 S 0.200 0.430 0.113
58 S 0.200 0.484 0.395
59 S 0.212 0.203 0.036
60 S 0.212 0.297 0.536
61 S 0.219 0.593 0.470
62 S 0.219 0.907 0.970
63 S 0.221 0.224 0.778
64 S 0.221 0.276 0.278
65 S 0.221 0.694 0.277
66 S 0.221 0.806 0.777
67 S 0.261 0.198 0.213
68 S 0.261 0.302 0.713
69 S 0.286 0.717 0.458
70 S 0.286 0.748 0.723
71 S 0.286 0.752 0.223
72 S 0.286 0.783 0.958
73 S 0.317 0.112 0.941
74 S 0.317 0.388 0.441
75 S 0.319 0.589 0.890
76 S 0.319 0.911 0.390
77 S 0.333 0.053 0.715
78 S 0.333 0.447 0.215
79 S 0.342 0.136 0.116
80 S 0.342 0.364 0.616
81 S 0.410 0.111 0.584
82 S 0.410 0.389 0.084
83 S 0.413 0.078 0.908
84 S 0.413 0.422 0.408
85 S 0.457 0.633 0.663
86 S 0.457 0.867 0.163
87 S 0.463 0.155 0.407
88 S 0.463 0.345 0.907
89 S 0.484 0.245 0.757
90 S 0.484 0.255 0.257
91 S 0.516 0.745 0.743
92 S 0.516 0.755 0.243
93 S 0.537 0.655 0.093
94 S 0.537 0.845 0.593
95 S 0.543 0.133 0.837
96 S 0.543 0.367 0.337
97 S 0.587 0.578 0.592
98 S 0.587 0.922 0.092
99 S 0.590 0.611 0.916
100 S 0.590 0.889 0.416
101 S 0.658 0.636 0.384
102 S 0.658 0.864 0.884
103 S 0.667 0.553 0.785
104 S 0.667 0.947 0.285
105 S 0.681 0.089 0.610
106 S 0.681 0.411 0.110
107 S 0.683 0.612 0.559
108 S 0.683 0.888 0.059
109 S 0.714 0.217 0.042
110 S 0.714 0.248 0.777
111 S 0.714 0.252 0.277
112 S 0.714 0.283 0.542
113 S 0.739 0.698 0.287
114 S 0.739 0.802 0.787
115 S 0.779 0.194 0.223
116 S 0.779 0.306 0.723
117 S 0.779 0.724 0.722
118 S 0.779 0.776 0.222
119 S 0.781 0.093 0.030
120 S 0.781 0.407 0.530
121 S 0.788 0.703 0.464
122 S 0.788 0.797 0.964
123 S 0.800 0.516 0.605
124 S 0.800 0.570 0.887
125 S 0.800 0.930 0.387
126 S 0.800 0.984 0.105
127 S 0.804 0.045 0.712
128 S 0.804 0.455 0.212
129 S 0.864 0.071 0.902
130 S 0.864 0.429 0.402
131 S 0.893 0.088 0.584
132 S 0.893 0.412 0.084
133 S 0.949 0.183 0.197
134 S 0.949 0.317 0.697
135 S 0.978 0.047 0.884
136 S 0.978 0.179 0.418
137 S 0.978 0.321 0.918
138 S 0.978 0.453 0.384
139 S 0.990 0.199 0.772
140 S 0.990 0.301 0.272

- Calculated volume: 27.84 Å³ per atom
- Magnetic moment: 0.0 μB/cell


5.
A geometry-optimized Ti3N2O3 structure, computed with GGA-PBE.

abc: 5.294 5.294 9.974
angles: 90.47 90.47 42.25
Fractional coordinates of all 16 atoms:
1 Ti 0.000 0.000 0.000
2 Ti 0.009 0.009 0.395
3 Ti 0.279 0.279 0.505
4 Ti 0.288 0.288 0.899
5 Ti 0.336 0.336 0.201
6 Ti 0.941 0.941 0.699
7 N 0.190 0.190 0.334
8 N 0.450 0.450 0.029
9 N 0.836 0.836 0.874
10 N 0.839 0.839 0.527
11 O 0.098 0.098 0.835
12 O 0.099 0.099 0.573
13 O 0.190 0.190 0.070
14 O 0.391 0.391 0.705
15 O 0.459 0.459 0.376
16 O 0.898 0.898 0.210

- Calculated volume: 11.75 Å³ per atom
- ΔE to the lowest computed polymorph: 24 meV per atom
- Magnetic moment: 0.0 μB/cell


6.
A geometry-optimized Tb3SbO7 structure, computed with GGA-PBE.

abc: 6.505 6.505 7.558
angles: 90.00 90.00 109.33
Fractional coordinates of all 22 atoms:
1 Tb 0.000 0.000 0.000
2 Tb 0.000 0.000 0.500
3 Tb 0.032 0.500 0.750
4 Tb 0.500 0.032 0.250
5 Tb 0.500 0.968 0.750
6 Tb 0.968 0.500 0.250
7 Sb 0.500 0.500 0.000
8 Sb 0.500 0.500 0.500
9 O 0.130 0.870 0.250
10 O 0.137 0.863 0.750
11 O 0.179 0.428 0.029
12 O 0.179 0.428 0.471
13 O 0.428 0.179 0.529
14 O 0.428 0.179 0.971
15 O 0.431 0.569 0.750
16 O 0.569 0.431 0.250
17 O 0.572 0.821 0.029
18 O 0.572 0.821 0.471
19 O 0.821 0.572 0.529
20 O 0.821 0.572 0.971
21 O 0.863 0.137 0.250
22 O 0.870 0.130 0.750

- Calculated volume: 13.72 Å³ per atom
- ΔE to the lowest computed polymorph: 0 meV per atom


7.
A geometry-optimized Sr2TaInO6 structure, computed with GGA-PBE.

abc: 5.842 5.842 5.842
angles: 60.00 60.00 60.00
Fractional coordinates of all 10 atoms:
1 Sr 0.250 0.250 0.250
2 Sr 0.750 0.750 0.750
3 Ta 0.000 0.000 0.000
4 In 0.500 0.500 0.500
5 O 0.241 0.241 0.759
6 O 0.241 0.759 0.241
7 O 0.241 0.759 0.759
8 O 0.759 0.241 0.241
9 O 0.759 0.241 0.759
10 O 0.759 0.759 0.241

- Calculated volume: 14.09 Å³ per atom
- Magnetic moment: 0.0 μB/cell


8.
A geometry-optimized Ba2MgGe2O7 structure, computed with GGA-PBE.

abc: 8.498 8.498 5.629
angles: 90.00 90.00 90.00
Fractional coordinates of all 24 atoms:
1 Ba 0.165 0.335 0.491
2 Ba 0.335 0.835 0.509
3 Ba 0.665 0.165 0.509
4 Ba 0.835 0.665 0.491
5 Mg 0.000 0.000 0.000
6 Mg 0.500 0.500 0.000
7 Ge 0.141 0.641 0.958
8 Ge 0.359 0.141 0.042
9 Ge 0.641 0.859 0.042
10 Ge 0.859 0.359 0.958
11 O 0.000 0.500 0.839
12 O 0.079 0.817 0.815
13 O 0.139 0.639 0.268
14 O 0.183 0.079 0.185
15 O 0.317 0.579 0.815
16 O 0.361 0.139 0.732
17 O 0.421 0.317 0.185
18 O 0.500 0.000 0.161
19 O 0.579 0.683 0.185
20 O 0.639 0.861 0.732
21 O 0.683 0.421 0.815
22 O 0.817 0.921 0.185
23 O 0.861 0.361 0.268
24 O 0.921 0.183 0.815

- Calculated volume: 16.94 Å³ per atom


9.
A geometry-optimized Sn15Ru3O14 structure, computed with GGA-PBE.

abc: 7.263 7.263 13.155
angles: 106.06 106.06 59.52
Fractional coordinates of all 32 atoms:
1 Sn 0.000 0.000 0.000
2 Sn 0.007 0.528 0.016
3 Sn 0.102 0.588 0.752
4 Sn 0.114 0.114 0.797
5 Sn 0.193 0.676 0.524
6 Sn 0.194 0.194 0.518
7 Sn 0.244 0.771 0.266
8 Sn 0.250 0.250 0.258
9 Sn 0.528 0.007 0.016
10 Sn 0.541 0.541 0.052
11 Sn 0.586 0.586 0.758
12 Sn 0.588 0.102 0.752
13 Sn 0.676 0.193 0.524
14 Sn 0.771 0.244 0.266
15 Sn 0.779 0.779 0.290
16 Ru 0.387 0.387 0.143
17 Ru 0.796 0.796 0.872
18 Ru 0.983 0.983 0.409
19 O 0.057 0.057 0.169
20 O 0.076 0.523 0.584
21 O 0.220 0.220 0.703
22 O 0.221 0.794 0.712
23 O 0.324 0.324 0.429
24 O 0.335 0.843 0.995
25 O 0.441 0.441 0.807
26 O 0.453 0.916 0.294
27 O 0.522 0.522 0.589
28 O 0.523 0.076 0.584
29 O 0.723 0.723 0.120
30 O 0.794 0.221 0.712
31 O 0.843 0.335 0.995
32 O 0.916 0.453 0.294

- Calculated volume: 17.71 Å³ per atom


10.
A geometry-optimized MgCu2Rh4O8 structure, computed with GGA-PBE.

abc: 6.253 6.301 6.301
angles: 61.58 60.26 60.26
Fractional coordinates of all 15 atoms:
1 Mg 0.000 0.000 0.000
2 Cu 0.590 0.911 0.910
3 Cu 0.723 0.277 0.279
4 Rh 0.218 0.534 0.534
5 Rh 0.225 0.030 0.521
6 Rh 0.226 0.521 0.030
7 Rh 0.716 0.534 0.534
8 O 0.008 0.776 0.776
9 O 0.417 0.295 0.295
10 O 0.442 0.776 0.776
11 O 0.457 0.325 0.763
12 O 0.457 0.762 0.326
13 O 0.987 0.309 0.719
14 O 0.987 0.719 0.309
15 O 0.994 0.295 0.295

- Calculated volume: 11.88 Å³ per atom
- ΔE to the lowest computed polymorph: 18 meV per atom
- Magnetic moment: 0.0 μB/cell


11.
A geometry-optimized Sr3P14 structure, computed with GGA-PBE.

abc: 6.386 12.873 11.831
angles: 90.00 122.60 90.00
Fractional coordinates of all 34 atoms:
1 Sr 0.000 0.000 0.000
2 Sr 0.000 0.500 0.500
3 Sr 0.197 0.159 0.390
4 Sr 0.197 0.341 0.890
5 Sr 0.803 0.659 0.110
6 Sr 0.803 0.841 0.610
7 P 0.024 0.149 0.647
8 P 0.024 0.351 0.147
9 P 0.243 0.226 0.139
10 P 0.243 0.274 0.639
11 P 0.250 0.004 0.683
12 P 0.250 0.496 0.183
13 P 0.280 0.083 0.860
14 P 0.280 0.417 0.360
15 P 0.381 0.709 0.729
16 P 0.381 0.791 0.229
17 P 0.387 0.676 0.549
18 P 0.387 0.824 0.049
19 P 0.427 0.553 0.820
20 P 0.427 0.947 0.320
21 P 0.573 0.053 0.680
22 P 0.573 0.447 0.180
23 P 0.613 0.176 0.951
24 P 0.613 0.324 0.451
25 P 0.619 0.209 0.771
26 P 0.619 0.291 0.271
27 P 0.720 0.583 0.640
28 P 0.720 0.917 0.140
29 P 0.750 0.504 0.817
30 P 0.750 0.996 0.317
31 P 0.757 0.726 0.361
32 P 0.757 0.774 0.861
33 P 0.976 0.649 0.853
34 P 0.976 0.851 0.353

- Calculated volume: 24.10 Å³ per atom


Number 1: E_form -1.061 eV per atom. Number 2: E_form -3.178 eV per atom. Number 3: E_form -0.951 eV per atom. Number 4: E_form -1.110 eV per atom. Number 5: E_form -2.561 eV per atom. Number 6: E_form -3.418 eV per atom. Number 7: E_form -3.060 eV per atom. Number 8: E_form -2.793 eV per atom. Number 9: E_form -1.502 eV per atom. Number 10: E_form -1.078 eV per atom. Number 11: E_form -0.466 eV per atom.